(1)
A relaxed structure of TbTmHg2. Source: Materials Project, functional PBE-GGA.

Cell: 7.422 7.422 7.422 Å, 90.00 90.00 90.00°
Space group Fm-3m (No. 225)
Symmetry-distinct sites (fractional):
Tb  0.000  0.000  0.000 (multiplicity 4)
Tm  0.000  0.000  0.500 (multiplicity 4)
Hg  0.250  0.250  0.250 (multiplicity 8)

volume	25.55	A^3/atom
energy of formation	-0.48	eV/atom

(2)
A relaxed structure of Mg6CdCO8. Source: Materials Project, functional PBE-GGA.

Cell: 4.334 4.334 8.639 Å, 90.00 90.00 90.00°
Space group P4/mmm (No. 123)
Symmetry-distinct sites (fractional):
Mg  0.000  0.000  0.000 (multiplicity 1)
Mg  0.000  0.000  0.500 (multiplicity 1)
Mg  0.000  0.500  0.240 (multiplicity 4)
Cd  0.500  0.500  0.500 (multiplicity 1)
C  0.500  0.500  0.000 (multiplicity 1)
O  0.000  0.000  0.249 (multiplicity 2)
O  0.000  0.500  0.000 (multiplicity 2)
O  0.000  0.500  0.500 (multiplicity 2)
O  0.500  0.500  0.232 (multiplicity 2)

volume	10.14	A^3/atom
energy of formation	-2.15	eV/atom
total energy after the MP2020 corrections	-93.684	eV for the cell shown
offset from the most stable computed form	0.0000	eV per atom
total magnetic moment	0.00	μB/f.u.

(3)
A relaxed structure of YMg14Ti. Source: Materials Project, functional PBE-GGA.

Cell: 10.330 6.385 11.311 Å, 90.00 90.00 90.00°
Space group Amm2 (No. 38)
Symmetry-distinct sites (fractional):
Y  0.000  0.000  0.000 (multiplicity 2)
Mg  0.000  0.246  0.252 (multiplicity 4)
Mg  0.244  0.000  0.663 (multiplicity 4)
Mg  0.252  0.244  0.415 (multiplicity 8)
Mg  0.254  0.000  0.167 (multiplicity 4)
Mg  0.500  0.000  0.500 (multiplicity 2)
Mg  0.500  0.000  0.999 (multiplicity 2)
Mg  0.500  0.249  0.749 (multiplicity 4)
Ti  0.000  0.000  0.497 (multiplicity 2)

volume	23.31	A^3/atom
energy of formation	0.04	eV/atom
offset from the most stable computed form	0.0000	eV per atom
total magnetic moment	1.74	μB/f.u.

(4)
A relaxed structure of AcNd3. Source: Materials Project, functional PBE-GGA.

Cell: 5.309 5.309 10.622 Å, 90.00 90.00 90.00°
Space group I4/mmm (No. 139)
Symmetry-distinct sites (fractional):
Ac  0.000  0.000  0.000 (multiplicity 2)
Nd  0.000  0.000  0.500 (multiplicity 2)
Nd  0.000  0.500  0.250 (multiplicity 4)

volume	37.43	A^3/atom
energy of formation	0.04	eV/atom

(5)
A relaxed structure of CsRb2GaCl6. Source: Materials Project, functional PBE-GGA.

Cell: 11.252 11.252 11.252 Å, 90.00 90.00 90.00°
Space group Fm-3m (No. 225)
Symmetry-distinct sites (fractional):
Cs  0.000  0.000  0.000 (multiplicity 4)
Rb  0.250  0.250  0.250 (multiplicity 8)
Ga  0.000  0.000  0.500 (multiplicity 4)
Cl  0.000  0.000  0.287 (multiplicity 24)

volume	35.62	A^3/atom
energy of formation	-1.94	eV/atom
total energy after the MP2020 corrections	-145.369	eV for the cell shown
total magnetic moment	0.00	μB/f.u.

(6)
A relaxed structure of CsDy2Cu3Se5. Source: Materials Project, functional PBE-GGA.

Cell: 4.140 14.697 17.431 Å, 90.00 90.00 90.00°
Space group Cmcm (No. 63)
Symmetry-distinct sites (fractional):
Cs  0.000  0.061  0.250 (multiplicity 4)
Dy  0.000  0.192  0.591 (multiplicity 8)
Cu  0.000  0.342  0.250 (multiplicity 4)
Cu  0.000  0.416  0.530 (multiplicity 8)
Se  0.000  0.168  0.070 (multiplicity 8)
Se  0.000  0.238  0.750 (multiplicity 4)
Se  0.000  0.439  0.112 (multiplicity 8)

volume	24.10	A^3/atom
energy of formation	-1.33	eV/atom
total energy after the MP2020 corrections	-217.847	eV for the cell shown
total magnetic moment	0.00	μB/f.u.

Number 1: ρ 11.85 g cm⁻³, final energy -46.50 eV for the cell shown. Number 2: ρ 4.07 g cm⁻³, final energy -88.19 eV for the cell shown. Number 3: ρ 2.12 g cm⁻³, final energy -72.10 eV for the cell shown. Number 4: ρ 7.32 g cm⁻³, final energy -36.56 eV for the cell shown. Number 5: ρ 2.73 g cm⁻³, final energy -130.63 eV for the cell shown. Number 6: ρ 6.53 g cm⁻³, final energy -208.41 eV for the cell shown.